# 1
Below is a relaxed structure of BaP3, with properties calculated at the PBE level.

a b c (Å): 7.064 7.064 4.800
angles (deg): 71.33 71.33 66.53
Sites, in units of the cell vectors:
Ba 0.826 0.826 0.316
Ba 0.174 0.174 0.684
P 0.592 0.592 0.021
P 0.408 0.408 0.979
P 0.185 0.649 0.709
P 0.351 0.815 0.291
P 0.815 0.351 0.291
P 0.649 0.185 0.709

Summary:
- energy of formation from the pure elements (meV/atom) = -666
- symmetry = C2/m
- crystal system = monoclinic

***

# 2
Below is a relaxed structure of Y5Pt4, with properties calculated at the PBE level.

a b c (Å): 7.537 7.607 14.746
angles (deg): 90.00 90.00 90.00
Sites, in units of the cell vectors:
Y 0.681 0.988 0.250
Y 0.181 0.512 0.250
Y 0.819 0.488 0.750
Y 0.319 0.012 0.750
Y 0.656 0.833 0.622
Y 0.156 0.667 0.878
Y 0.844 0.333 0.378
Y 0.344 0.167 0.122
Y 0.344 0.167 0.378
Y 0.844 0.333 0.122
Y 0.156 0.667 0.622
Y 0.656 0.833 0.878
Y 0.998 0.819 0.407
Y 0.498 0.681 0.093
Y 0.502 0.319 0.593
Y 0.002 0.181 0.907
Y 0.002 0.181 0.593
Y 0.502 0.319 0.907
Y 0.498 0.681 0.407
Y 0.998 0.819 0.093
Pt 0.815 0.641 0.250
Pt 0.315 0.859 0.250
Pt 0.685 0.141 0.750
Pt 0.185 0.359 0.750
Pt 0.547 0.388 0.250
Pt 0.047 0.112 0.250
Pt 0.953 0.888 0.750
Pt 0.453 0.612 0.750
Pt 0.817 0.532 0.542
Pt 0.317 0.968 0.958
Pt 0.683 0.032 0.458
Pt 0.183 0.468 0.042
Pt 0.183 0.468 0.458
Pt 0.683 0.032 0.042
Pt 0.317 0.968 0.542
Pt 0.817 0.532 0.958

Summary:
- energy of formation from the pure elements (meV/atom) = -1141
- symmetry = Pnma
- crystal system = orthorhombic

***

Q: What is the energy of formation from the pure elements in the first record?
A: -666 meV/atom